No. 1
This record from the Materials Project database describes a relaxed structure of CaP4WO12. The functional is PBE with a Hubbard U.

a b c (Å): 12.658 9.000 10.977
angles (deg): 90.00 121.83 90.00
Space group C2/c (No. 15)
Inequivalent atoms, fractional coordinates:
Ca  0.000  0.028  0.250 x4
P  0.004  0.275  0.975 x8
P  0.190  0.481  0.202 x8
W  0.250  0.250  0.500 x4
O  0.031  0.146  0.912 x8
O  0.053  0.246  0.434 x8
O  0.081  0.396  0.652 x8
O  0.131  0.365  0.069 x8
O  0.199  0.049  0.292 x8
O  0.207  0.410  0.334 x8

Results
magnetization: 4.00 μB per formula unit

No. 2
This record from the Materials Project database describes a relaxed structure of BaNdDyMnO6. The functional is PBE with a Hubbard U.

a b c (Å): 8.214 8.214 8.214
angles (deg): 90.00 90.00 90.00
Space group F-43m (No. 216)
Inequivalent atoms, fractional coordinates:
Ba  0.000  0.000  0.000 x4
Nd  0.000  0.000  0.500 x4
Dy  0.250  0.250  0.750 x4
Mn  0.250  0.250  0.250 x4
O  0.016  0.250  0.250 x24

Results
magnetization: 3.00 μB per formula unit

Going through the records in order, we get energy of formation from the pure elements values of -2547; -3021 meV/atom.
Going through the records in order, we get calculated volume values of 265.59; 138.55 Å³/f.u..